[1]
LiNdTiO4: relaxed, GGA-PBE.

## Properties
SG = P4/nmm
Total moment = 0.0 μB per cell

Cell: 3.747 3.747 12.248 Å, 90.00 90.00 90.00°
Sites, in units of the cell vectors:
Li (0.500, 0.500, 0.500)
Li (0.000, 0.000, 0.500)
Nd (0.000, 0.500, 0.116)
Nd (0.500, 0.000, 0.884)
Ti (0.000, 0.500, 0.710)
Ti (0.500, 0.000, 0.290)
O (0.000, 0.500, 0.925)
O (0.500, 0.000, 0.075)
O (0.000, 0.500, 0.563)
O (0.500, 0.000, 0.437)
O (0.000, 0.000, 0.750)
O (0.500, 0.500, 0.750)
O (0.500, 0.500, 0.250)
O (0.000, 0.000, 0.250)

---

[2]
LiNdTi4O12: relaxed, GGA-PBE.

## Properties
SG = P4/mmm
Total moment = 4.0 μB per cell

Cell: 5.433 5.433 7.877 Å, 90.00 90.00 90.00°
Sites, in units of the cell vectors:
Li (0.500, 0.500, 0.500)
Nd (0.000, 0.000, 0.000)
Ti (0.000, 0.500, 0.738)
Ti (0.000, 0.500, 0.262)
Ti (0.500, 0.000, 0.738)
Ti (0.500, 0.000, 0.262)
O (0.244, 0.244, 0.768)
O (0.244, 0.244, 0.232)
O (0.756, 0.756, 0.768)
O (0.756, 0.756, 0.232)
O (0.756, 0.244, 0.768)
O (0.756, 0.244, 0.232)
O (0.244, 0.756, 0.768)
O (0.244, 0.756, 0.232)
O (0.000, 0.500, 0.500)
O (0.000, 0.500, 0.000)
O (0.500, 0.000, 0.500)
O (0.500, 0.000, 0.000)

---

[3]
LiNd2Os: relaxed, GGA-PBE.

## Properties
SG = Fm-3m

Cell: 5.058 5.058 5.058 Å, 60.00 60.00 60.00°
Sites, in units of the cell vectors:
Li (0.500, 0.500, 0.500)
Nd (0.250, 0.250, 0.250)
Nd (0.750, 0.750, 0.750)
Os (0.000, 0.000, 0.000)

---

[4]
LiNd2Rh: relaxed, GGA-PBE.

## Properties
SG = Fm-3m
Total moment = 0.0 μB per cell

Cell: 5.120 5.120 5.120 Å, 60.00 60.00 60.00°
Sites, in units of the cell vectors:
Li (0.500, 0.500, 0.500)
Nd (0.250, 0.250, 0.250)
Nd (0.750, 0.750, 0.750)
Rh (0.000, 0.000, 0.000)

---

[5]
LiNd2Ru: relaxed, GGA-PBE.

## Properties
SG = Fm-3m

Cell: 5.054 5.054 5.054 Å, 60.00 60.00 60.00°
Sites, in units of the cell vectors:
Li (0.500, 0.500, 0.500)
Nd (0.250, 0.250, 0.250)
Nd (0.750, 0.750, 0.750)
Ru (0.000, 0.000, 0.000)

---

[6]
Li3NdSb2: relaxed, GGA-PBE.

## Properties
SG = P-3m1

Cell: 4.615 4.615 7.341 Å, 90.00 90.00 120.00°
Sites, in units of the cell vectors:
Li (0.000, 0.000, 0.500)
Li (0.667, 0.333, 0.648)
Li (0.333, 0.667, 0.352)
Nd (0.000, 0.000, 0.000)
Sb (0.667, 0.333, 0.254)
Sb (0.333, 0.667, 0.746)

---

[7]
Li2NdSb2: relaxed, GGA-PBE.

## Properties
SG = P4/nmm
Total moment = 0.0 μB per cell

Cell: 4.601 4.601 11.115 Å, 90.00 90.00 90.00°
Sites, in units of the cell vectors:
Li (0.000, 0.500, 0.378)
Li (0.500, 0.000, 0.622)
Li (0.000, 0.000, 0.000)
Li (0.500, 0.500, 0.000)
Nd (0.000, 0.500, 0.730)
Nd (0.500, 0.000, 0.270)
Sb (0.500, 0.000, 0.851)
Sb (0.000, 0.500, 0.149)
Sb (0.000, 0.000, 0.500)
Sb (0.500, 0.500, 0.500)

---

[8]
LiNdSe2: relaxed, GGA-PBE.

## Properties
SG = P4/mmm
Total moment = 0.0 μB per cell

Cell: 4.214 4.214 5.751 Å, 90.00 90.00 90.00°
Sites, in units of the cell vectors:
Li (0.000, 0.000, 0.000)
Nd (0.500, 0.500, 0.500)
Se (0.000, 0.000, 0.500)
Se (0.500, 0.500, 0.000)

---

[9]
LiNdSe2: relaxed, GGA-PBE.

## Properties
SG = I4_1/amd

Cell: 7.225 7.225 7.225 Å, 131.99 131.99 70.24°
Sites, in units of the cell vectors:
Li (0.500, 0.500, 0.000)
Li (0.250, 0.750, 0.500)
Nd (0.000, 0.000, 0.000)
Nd (0.750, 0.250, 0.500)
Se (0.750, 0.750, 0.000)
Se (0.500, 0.000, 0.500)
Se (0.250, 0.250, 0.000)
Se (0.000, 0.500, 0.500)

---

[10]
Li2Nd2Si3: relaxed, GGA-PBE.

## Properties
SG = Cmcm

Cell: 9.515 9.515 6.828 Å, 90.00 90.00 153.22°
Sites, in units of the cell vectors:
Li (0.188, 0.812, 0.061)
Li (0.188, 0.812, 0.439)
Li (0.812, 0.188, 0.939)
Li (0.812, 0.188, 0.561)
Nd (0.342, 0.658, 0.250)
Nd (0.658, 0.342, 0.750)
Nd (0.553, 0.447, 0.250)
Nd (0.447, 0.553, 0.750)
Si (0.720, 0.280, 0.250)
Si (0.280, 0.720, 0.750)
Si (0.058, 0.942, 0.925)
Si (0.942, 0.058, 0.075)
Si (0.942, 0.058, 0.425)
Si (0.058, 0.942, 0.575)

---

[11]
LiNdSn: relaxed, GGA-PBE.

## Properties
SG = F-43m
Total moment = 0.0 μB per cell

Cell: 4.766 4.766 4.766 Å, 60.00 60.00 60.00°
Sites, in units of the cell vectors:
Li (0.250, 0.250, 0.250)
Nd (0.500, 0.500, 0.500)
Sn (0.000, 0.000, 0.000)

---

[12]
LiNdSn: relaxed, GGA-PBE.

## Properties
SG = P6_3mc
Total moment = 0.0 μB per cell

Cell: 9.553 9.553 7.680 Å, 90.00 90.00 120.00°
Sites, in units of the cell vectors:
Li (0.167, 0.333, 0.288)
Li (0.167, 0.833, 0.288)
Li (0.667, 0.833, 0.288)
Li (0.833, 0.667, 0.788)
Li (0.833, 0.167, 0.788)
Li (0.333, 0.167, 0.788)
Li (0.333, 0.667, 0.661)
Li (0.667, 0.333, 0.161)
Nd (0.513, 0.026, 0.496)
Nd (0.513, 0.487, 0.496)
Nd (0.974, 0.487, 0.496)
Nd (0.487, 0.974, 0.996)
Nd (0.487, 0.513, 0.996)
Nd (0.026, 0.513, 0.996)
Nd (0.000, 0.000, 0.503)
Nd (0.000, 0.000, 0.003)
Sn (0.167, 0.335, 0.729)
Sn (0.167, 0.833, 0.729)
Sn (0.665, 0.833, 0.729)
Sn (0.833, 0.665, 0.229)
Sn (0.833, 0.167, 0.229)
Sn (0.335, 0.167, 0.229)
Sn (0.333, 0.667, 0.270)
Sn (0.667, 0.333, 0.770)

---

[13]
LiNdSn2: relaxed, GGA-PBE.

## Properties
SG = Cmcm
Total moment = 0.0 μB per cell

Cell: 4.510 4.554 9.846 Å, 90.00 103.24 90.00°
Sites, in units of the cell vectors:
Li (0.676, 0.750, 0.352)
Li (0.324, 0.250, 0.648)
Nd (0.894, 0.750, 0.787)
Nd (0.106, 0.250, 0.213)
Sn (0.250, 0.750, 0.501)
Sn (0.750, 0.250, 0.499)
Sn (0.544, 0.750, 0.088)
Sn (0.456, 0.250, 0.912)

---

[14]
LiNdTl2: relaxed, GGA-PBE.

## Properties
SG = Fm-3m

Cell: 5.299 5.299 5.299 Å, 60.00 60.00 60.00°
Sites, in units of the cell vectors:
Li (0.500, 0.500, 0.500)
Nd (0.000, 0.000, 0.000)
Tl (0.250, 0.250, 0.250)
Tl (0.750, 0.750, 0.750)

---

[15]
LiNdZn2: relaxed, GGA-PBE.

## Properties
SG = Fm-3m

Cell: 4.897 4.897 4.897 Å, 60.00 60.00 60.00°
Sites, in units of the cell vectors:
Li (0.500, 0.500, 0.500)
Nd (0.000, 0.000, 0.000)
Zn (0.250, 0.250, 0.250)
Zn (0.750, 0.750, 0.750)

---

[16]
Li3Ni: relaxed, GGA-PBE.

## Properties
SG = P6_3/mmc
Total moment = 0.0 μB per cell

Cell: 5.437 5.437 4.465 Å, 90.00 90.00 120.00°
Sites, in units of the cell vectors:
Li (0.175, 0.349, 0.250)
Li (0.651, 0.825, 0.250)
Li (0.175, 0.825, 0.250)
Li (0.825, 0.651, 0.750)
Li (0.349, 0.175, 0.750)
Li (0.825, 0.175, 0.750)
Ni (0.333, 0.667, 0.750)
Ni (0.667, 0.333, 0.250)

---

[17]
Li3Ni: relaxed, GGA-PBE.

## Properties
SG = I4/mmm
Total moment = 0.0 μB per cell

Cell: 4.648 4.648 4.648 Å, 131.61 131.61 70.84°
Sites, in units of the cell vectors:
Li (0.750, 0.250, 0.500)
Li (0.250, 0.750, 0.500)
Li (0.500, 0.500, 0.000)
Ni (0.000, 0.000, 0.000)

---

[18]
LiNi3: relaxed, GGA-PBE.

## Properties
SG = I4/mmm

Cell: 4.278 4.278 4.278 Å, 131.33 131.33 71.30°
Sites, in units of the cell vectors:
Li (0.000, 0.000, 0.000)
Ni (0.750, 0.250, 0.500)
Ni (0.250, 0.750, 0.500)
Ni (0.500, 0.500, 0.000)

---

[19]
LiNiP: relaxed, GGA-PBE.

## Properties
SG = P4/nmm
Total moment = 0.0 μB per cell

Cell: 3.737 3.737 5.800 Å, 90.00 90.00 90.00°
Sites, in units of the cell vectors:
Li (0.000, 0.500, 0.337)
Li (0.500, 0.000, 0.663)
Ni (0.000, 0.000, 0.000)
Ni (0.500, 0.500, 0.000)
P (0.000, 0.500, 0.780)
P (0.500, 0.000, 0.220)

---

[20]
LiNi3P2: relaxed, GGA-PBE.

## Properties
SG = Pm
Total moment = 0.5 μB per cell

Cell: 7.200 8.989 15.577 Å, 90.00 90.00 90.00°
Sites, in units of the cell vectors:
Li (0.244, 0.500, 0.834)
Li (0.756, 0.500, 0.834)
Li (0.500, 0.329, 0.552)
Li (0.000, 0.008, 0.888)
Li (0.500, 0.999, 0.669)
Li (0.000, 0.000, 0.664)
Li (0.254, 0.999, 0.334)
Li (0.746, 0.999, 0.334)
Li (0.500, 0.832, 0.050)
Li (0.000, 0.661, 0.557)
Li (0.000, 0.510, 0.389)
Li (0.500, 0.499, 0.168)
Li (0.000, 0.500, 0.167)
Li (0.500, 0.164, 0.060)
Ni (0.258, 0.802, 0.918)
Ni (0.742, 0.802, 0.918)
Ni (0.500, 0.756, 0.805)
Ni (0.000, 0.759, 0.805)
Ni (0.246, 0.475, 0.641)
Ni (0.754, 0.475, 0.641)
Ni (0.000, 0.415, 0.975)
Ni (0.500, 0.411, 0.978)
Ni (0.500, 0.326, 0.719)
Ni (0.000, 0.328, 0.715)
Ni (0.000, 0.352, 0.538)
Ni (0.256, 0.299, 0.419)
Ni (0.744, 0.299, 0.419)
Ni (0.000, 0.259, 0.307)
Ni (0.500, 0.254, 0.306)
Ni (0.243, 0.224, 0.941)
Ni (0.757, 0.224, 0.941)
Ni (0.250, 0.156, 0.786)
Ni (0.750, 0.156, 0.786)
Ni (0.251, 0.098, 0.530)
Ni (0.749, 0.098, 0.530)
Ni (0.500, 0.019, 0.904)
Ni (0.247, 0.978, 0.142)
Ni (0.753, 0.978, 0.142)
Ni (0.500, 0.908, 0.477)
Ni (0.000, 0.915, 0.477)
Ni (0.500, 0.827, 0.216)
Ni (0.000, 0.828, 0.217)
Ni (0.000, 0.839, 0.041)
Ni (0.254, 0.743, 0.685)
Ni (0.746, 0.743, 0.685)
Ni (0.251, 0.724, 0.439)
Ni (0.749, 0.724, 0.439)
Ni (0.250, 0.655, 0.284)
Ni (0.750, 0.655, 0.284)
Ni (0.500, 0.646, 0.562)
Ni (0.247, 0.600, 0.029)
Ni (0.753, 0.600, 0.029)
Ni (0.500, 0.513, 0.392)
Ni (0.249, 0.244, 0.187)
Ni (0.751, 0.244, 0.187)
Ni (0.000, 0.154, 0.063)
P (0.500, 0.643, 0.937)
P (0.000, 0.656, 0.938)
P (0.500, 0.579, 0.704)
P (0.000, 0.583, 0.708)
P (0.257, 0.503, 0.499)
P (0.743, 0.503, 0.499)
P (0.500, 0.264, 0.858)
P (0.000, 0.273, 0.853)
P (0.250, 0.226, 0.650)
P (0.750, 0.226, 0.650)
P (0.500, 0.142, 0.437)
P (0.000, 0.156, 0.441)
P (0.500, 0.079, 0.207)
P (0.000, 0.085, 0.207)
P (0.243, 0.001, 0.002)
P (0.757, 0.001, 0.002)
P (0.253, 0.911, 0.788)
P (0.747, 0.911, 0.788)
P (0.252, 0.860, 0.561)
P (0.748, 0.860, 0.561)
P (0.500, 0.764, 0.353)
P (0.000, 0.773, 0.356)
P (0.247, 0.727, 0.149)
P (0.753, 0.727, 0.149)
P (0.253, 0.411, 0.290)
P (0.747, 0.411, 0.290)
P (0.246, 0.361, 0.062)
P (0.754, 0.361, 0.062)

---

no.,uncorrected energy (eV per atom),formation energy from the elements (eV per formula unit)
1,-7.93,-23.92
2,-7.85,-51.92
3,-5.75,-0.32
4,-5.04,-1.37
5,-5.32,-0.58
6,-3.97,-5.43
7,-4.10,-4.02
8,-5.00,-7.28
9,-5.06,-7.51
10,-4.85,-4.09
11,-4.06,-1.49
12,-4.22,-1.99
13,-4.24,-2.25
14,-3.19,-1.36
15,-2.57,-1.06
16,-2.78,0.38
17,-2.78,0.37
18,-4.79,0.09
19,-4.97,-1.80
20,-5.62,-3.65